Entry 1:
Below is an optimized crystal structure of PtN, with properties calculated at the PBE level.

abc: 3.091 3.091 5.548
angles: 90.00 90.00 120.00
Atoms (fractional coordinates):
1 Pt 0.000 0.000 0.500
2 Pt 0.000 0.000 0.000
3 N 0.667 0.333 0.750
4 N 0.333 0.667 0.250

## Properties
E_form: 1.15 eV per atom
Magnetization: 0.0000 μB/atom
Symmetry: P6_3/mmc (194)

---

Entry 2:
Below is an optimized crystal structure of PtN2, with properties calculated at the PBE level.

abc: 3.225 3.225 7.805
angles: 90.00 90.00 120.00
Atoms (fractional coordinates):
1 N 0.000 0.000 0.577
2 N 0.000 0.000 0.077
3 N 0.000 0.000 0.923
4 N 0.000 0.000 0.423
5 Pt 0.667 0.333 0.250
6 Pt 0.333 0.667 0.750

## Properties
E_form: 0.69 eV per atom
Magnetization: 0.0000 μB/atom
Symmetry: P6_3/mmc (194)

---

- The highest E_form belongs to which entry?
  PtN

---

- Which value of magnetization does entry 1 give?
  0.0000 μB/atom

---

- Look up the magnetization of the second one.
  0.0000 μB/atom